Version a
{"formula": "Li3W8O24", "functional": "PBE+U", "state": "relaxed", "spacegroup": "Pmmm, No. 47", "lattice_angstrom": [[-0.692, 7.057, -2.606], [-7.080, 0.279, 2.635], [2.570, 2.697, 6.619]], "species": ["W", "W", "W", "W", "W", "W", "W", "W", "Li", "Li", "Li", "O", "O", "O", "O", "O", "O", "O", "O", "O", "O", "O", "O", "O", "O", "O", "O", "O", "O", "O", "O", "O", "O", "O", "O"], "fractional_positions": [[0.749, 0.749, 0.249], [0.251, 0.251, 0.249], [0.251, 0.749, 0.249], [0.749, 0.251, 0.249], [0.749, 0.749, 0.751], [0.251, 0.749, 0.751], [0.251, 0.251, 0.751], [0.749, 0.251, 0.751], [0.000, 0.500, 0.500], [0.000, 0.000, 0.500], [0.500, 0.000, 0.000], [0.295, 0.500, 0.213], [0.202, 0.299, 0.500], [0.801, 0.000, 0.705], [0.705, 0.803, 0.000], [0.705, 0.500, 0.787], [0.801, 0.000, 0.295], [0.202, 0.701, 0.500], [0.500, 0.792, 0.293], [0.500, 0.792, 0.707], [0.295, 0.803, 0.000], [0.705, 0.500, 0.213], [0.798, 0.299, 0.500], [0.500, 0.208, 0.293], [0.000, 0.292, 0.206], [0.295, 0.197, 0.000], [0.199, 0.000, 0.705], [0.000, 0.708, 0.794], [0.500, 0.208, 0.707], [0.000, 0.292, 0.794], [0.798, 0.701, 0.500], [0.199, 0.000, 0.295], [0.000, 0.708, 0.206], [0.705, 0.197, 0.000], [0.295, 0.500, 0.787]]}

Version b
{"formula": "Li3W8O24", "functional": "PBE+U", "state": "relaxed", "spacegroup": "C2/m, No. 12", "lattice_angstrom": [[-4.615, 4.604, 0.522], [-3.777, -1.263, 5.188], [6.558, 5.891, 6.232]], "species": ["Li", "Li", "Li", "W", "W", "W", "W", "W", "W", "W", "W", "O", "O", "O", "O", "O", "O", "O", "O", "O", "O", "O", "O", "O", "O", "O", "O", "O", "O", "O", "O", "O", "O", "O", "O"], "fractional_positions": [[0.249, 0.249, 0.250], [0.000, 0.000, 0.500], [0.751, 0.751, 0.750], [0.500, 0.000, 0.500], [0.000, 0.500, 0.500], [0.000, 0.500, 0.000], [0.252, 0.746, 0.247], [0.500, 0.000, 0.000], [0.748, 0.254, 0.753], [0.746, 0.252, 0.247], [0.254, 0.748, 0.753], [0.549, 0.144, 0.159], [0.499, 0.499, 0.702], [0.398, 0.806, 0.111], [0.806, 0.398, 0.111], [0.002, 0.002, 0.789], [0.353, 0.947, 0.352], [0.451, 0.856, 0.841], [0.144, 0.549, 0.159], [0.707, 0.707, 0.499], [0.905, 0.300, 0.600], [0.209, 0.209, 0.998], [0.998, 0.998, 0.211], [0.095, 0.700, 0.400], [0.647, 0.053, 0.648], [0.602, 0.194, 0.889], [0.856, 0.451, 0.841], [0.947, 0.353, 0.352], [0.194, 0.602, 0.889], [0.053, 0.647, 0.648], [0.293, 0.293, 0.501], [0.300, 0.905, 0.600], [0.700, 0.095, 0.400], [0.791, 0.791, 0.002], [0.501, 0.501, 0.298]]}

The computed energies, referenced to the most stable structure and given in meV/atom, are version a 14; version b 0.

Version a
{"formula": "Li2WO4", "functional": "PBE+U", "state": "relaxed", "spacegroup": "R-3, No. 148", "lattice_angstrom": [[5.343, -7.334, 0.000], [5.343, 7.334, 0.000], [-4.724, 0.000, 7.746]], "species": ["O", "O", "O", "O", "O", "O", "O", "O", "O", "O", "O", "O", "O", "O", "O", "O", "O", "O", "O", "O", "O", "O", "O", "O", "Li", "Li", "Li", "Li", "Li", "Li", "Li", "Li", "Li", "Li", "Li", "Li", "W", "W", "W", "W", "W", "W"], "fractional_positions": [[0.922, 0.246, 0.576], [0.042, 0.363, 0.348], [0.383, 0.722, 0.683], [0.029, 0.992, 0.693], [0.637, 0.652, 0.958], [0.424, 0.078, 0.754], [0.348, 0.042, 0.363], [0.078, 0.754, 0.424], [0.246, 0.576, 0.922], [0.722, 0.683, 0.383], [0.971, 0.008, 0.307], [0.652, 0.958, 0.637], [0.317, 0.617, 0.278], [0.617, 0.278, 0.317], [0.576, 0.922, 0.246], [0.008, 0.307, 0.971], [0.278, 0.317, 0.617], [0.683, 0.383, 0.722], [0.992, 0.693, 0.029], [0.307, 0.971, 0.008], [0.754, 0.424, 0.078], [0.363, 0.348, 0.042], [0.958, 0.637, 0.652], [0.693, 0.029, 0.992], [0.873, 0.277, 0.108], [0.567, 0.796, 0.391], [0.127, 0.723, 0.892], [0.204, 0.609, 0.433], [0.723, 0.892, 0.127], [0.796, 0.391, 0.567], [0.277, 0.108, 0.873], [0.108, 0.873, 0.277], [0.892, 0.127, 0.723], [0.391, 0.567, 0.796], [0.433, 0.204, 0.609], [0.609, 0.433, 0.204], [0.768, 0.537, 0.945], [0.463, 0.055, 0.232], [0.945, 0.768, 0.537], [0.055, 0.232, 0.463], [0.537, 0.945, 0.768], [0.232, 0.463, 0.055]]}

Version b
{"formula": "Li2WO4", "functional": "PBE+U", "state": "relaxed", "spacegroup": "C2/c, No. 15", "lattice_angstrom": [[2.987, 5.003, 0.000], [-2.987, 5.003, 0.000], [0.000, 0.140, 5.168]], "species": ["O", "O", "O", "O", "O", "O", "O", "O", "Li", "Li", "Li", "Li", "W", "W"], "fractional_positions": [[0.517, 0.223, 0.136], [0.207, 0.998, 0.428], [0.483, 0.777, 0.864], [0.002, 0.793, 0.072], [0.793, 0.002, 0.572], [0.777, 0.483, 0.364], [0.223, 0.517, 0.636], [0.998, 0.207, 0.928], [0.457, 0.157, 0.771], [0.543, 0.843, 0.229], [0.843, 0.543, 0.729], [0.157, 0.457, 0.271], [0.837, 0.163, 0.250], [0.163, 0.837, 0.750]]}

Version c
{"formula": "Li2WO4", "functional": "PBE+U", "state": "relaxed", "spacegroup": "I4_1/amd, No. 141", "lattice_angstrom": [[6.579, -2.426, 6.606], [-7.915, -4.890, -2.500], [5.185, -0.560, -8.100]], "species": ["O", "O", "O", "O", "O", "O", "O", "O", "O", "O", "O", "O", "O", "O", "O", "O", "O", "O", "O", "O", "O", "O", "O", "O", "O", "O", "O", "O", "O", "O", "O", "O", "W", "W", "W", "W", "W", "W", "W", "W", "Li", "Li", "Li", "Li", "Li", "Li", "Li", "Li", "Li", "Li", "Li", "Li", "Li", "Li", "Li", "Li"], "fractional_positions": [[0.390, 0.735, 0.886], [0.138, 0.261, 0.123], [0.985, 0.862, 0.123], [0.985, 0.599, 0.845], [0.265, 0.151, 0.655], [0.610, 0.717, 0.107], [0.283, 0.390, 0.893], [0.265, 0.610, 0.114], [0.511, 0.888, 0.623], [0.754, 0.140, 0.155], [0.401, 0.246, 0.386], [0.496, 0.390, 0.107], [0.739, 0.862, 0.877], [0.610, 0.504, 0.893], [0.401, 0.015, 0.155], [0.640, 0.246, 0.607], [0.754, 0.360, 0.393], [0.849, 0.504, 0.114], [0.967, 0.360, 0.607], [0.985, 0.140, 0.386], [0.138, 0.015, 0.877], [0.860, 0.015, 0.614], [0.754, 0.599, 0.614], [0.390, 0.504, 0.655], [0.640, 0.033, 0.393], [0.112, 0.489, 0.377], [0.860, 0.246, 0.845], [0.496, 0.610, 0.345], [0.849, 0.735, 0.345], [0.112, 0.735, 0.623], [0.496, 0.151, 0.886], [0.265, 0.888, 0.377], [0.349, 0.485, 0.136], [0.349, 0.214, 0.864], [0.901, 0.536, 0.636], [0.901, 0.265, 0.364], [0.735, 0.099, 0.636], [0.786, 0.651, 0.136], [0.464, 0.099, 0.364], [0.515, 0.651, 0.864], [0.131, 0.869, 0.000], [0.760, 0.875, 0.385], [0.119, 0.881, 0.500], [0.125, 0.240, 0.615], [0.490, 0.375, 0.615], [0.125, 0.510, 0.885], [0.625, 0.510, 0.385], [0.381, 0.881, 0.761], [0.131, 0.131, 0.261], [0.381, 0.619, 0.500], [0.869, 0.131, 0.000], [0.119, 0.619, 0.239], [0.625, 0.240, 0.115], [0.490, 0.875, 0.115], [0.869, 0.869, 0.739], [0.760, 0.375, 0.885]]}

The computed energies, referenced to the most stable structure and given in meV/atom, are version a 16; version b 0; version c 5.

Version a
{"formula": "Li2WO12", "functional": "PBE+U", "state": "relaxed", "spacegroup": "P2_1/c, No. 14", "lattice_angstrom": [[-5.318, -8.395, 4.700], [4.572, -4.248, -2.414], [10.581, -0.981, 10.220]], "species": ["W", "W", "W", "W", "O", "O", "O", "O", "O", "O", "O", "O", "O", "O", "O", "O", "O", "O", "O", "O", "O", "O", "O", "O", "O", "O", "O", "O", "O", "O", "O", "O", "O", "O", "O", "O", "O", "O", "O", "O", "O", "O", "O", "O", "O", "O", "O", "O", "O", "O", "O", "O", "Li", "Li", "Li", "Li", "Li", "Li", "Li", "Li"], "fractional_positions": [[0.595, 0.478, 0.268], [0.095, 0.522, 0.232], [0.405, 0.522, 0.732], [0.905, 0.478, 0.768], [0.406, 0.200, 0.796], [0.766, 0.905, 0.964], [0.811, 0.117, 0.119], [0.906, 0.800, 0.704], [0.266, 0.095, 0.536], [0.087, 0.832, 0.197], [0.689, 0.117, 0.619], [0.091, 0.820, 0.918], [0.529, 0.300, 0.771], [0.851, 0.530, 0.872], [0.259, 0.526, 0.816], [0.366, 0.507, 0.876], [0.528, 0.077, 0.010], [0.207, 0.121, 0.604], [0.587, 0.168, 0.303], [0.094, 0.200, 0.296], [0.465, 0.270, 0.303], [0.971, 0.300, 0.271], [0.028, 0.923, 0.490], [0.035, 0.270, 0.803], [0.634, 0.493, 0.124], [0.234, 0.095, 0.036], [0.866, 0.493, 0.624], [0.793, 0.879, 0.396], [0.594, 0.800, 0.204], [0.734, 0.905, 0.464], [0.472, 0.923, 0.990], [0.909, 0.180, 0.082], [0.965, 0.730, 0.197], [0.649, 0.530, 0.372], [0.189, 0.883, 0.881], [0.413, 0.832, 0.697], [0.134, 0.507, 0.376], [0.759, 0.474, 0.684], [0.351, 0.470, 0.628], [0.293, 0.121, 0.104], [0.972, 0.077, 0.510], [0.029, 0.700, 0.729], [0.707, 0.879, 0.896], [0.311, 0.883, 0.381], [0.591, 0.180, 0.582], [0.913, 0.168, 0.803], [0.535, 0.730, 0.697], [0.241, 0.526, 0.316], [0.471, 0.700, 0.229], [0.409, 0.820, 0.418], [0.149, 0.470, 0.128], [0.741, 0.474, 0.184], [0.629, 0.803, 0.073], [0.129, 0.197, 0.427], [0.592, 0.860, 0.329], [0.871, 0.803, 0.573], [0.371, 0.197, 0.927], [0.908, 0.860, 0.829], [0.092, 0.140, 0.171], [0.408, 0.140, 0.671]]}

Version b
{"formula": "Li2WO12", "functional": "PBE+U", "state": "relaxed", "spacegroup": "P2_1/c, No. 14", "lattice_angstrom": [[10.156, 0.000, 0.000], [0.000, 6.811, 0.000], [0.000, 1.288, 12.815]], "species": ["W", "W", "W", "W", "Li", "Li", "Li", "Li", "Li", "Li", "Li", "Li", "O", "O", "O", "O", "O", "O", "O", "O", "O", "O", "O", "O", "O", "O", "O", "O", "O", "O", "O", "O", "O", "O", "O", "O", "O", "O", "O", "O", "O", "O", "O", "O", "O", "O", "O", "O", "O", "O", "O", "O", "O", "O", "O", "O", "O", "O", "O", "O"], "fractional_positions": [[0.616, 0.469, 0.250], [0.884, 0.469, 0.750], [0.116, 0.531, 0.250], [0.384, 0.531, 0.750], [0.078, 0.110, 0.160], [0.817, 0.714, 0.550], [0.183, 0.286, 0.450], [0.317, 0.286, 0.950], [0.683, 0.714, 0.050], [0.922, 0.890, 0.840], [0.422, 0.110, 0.660], [0.578, 0.890, 0.340], [0.747, 0.421, 0.141], [0.253, 0.579, 0.859], [0.496, 0.910, 0.002], [0.996, 0.713, 0.730], [0.742, 0.459, 0.859], [0.212, 0.079, 0.034], [0.612, 0.452, 0.096], [0.043, 0.303, 0.776], [0.258, 0.541, 0.141], [0.582, 0.133, 0.543], [0.712, 0.921, 0.466], [0.788, 0.921, 0.966], [0.577, 0.181, 0.283], [0.388, 0.548, 0.904], [0.864, 0.530, 0.900], [0.543, 0.697, 0.724], [0.753, 0.421, 0.641], [0.364, 0.470, 0.600], [0.242, 0.541, 0.641], [0.418, 0.867, 0.457], [0.496, 0.287, 0.770], [0.004, 0.910, 0.502], [0.147, 0.236, 0.291], [0.888, 0.452, 0.596], [0.957, 0.697, 0.224], [0.918, 0.133, 0.043], [0.124, 0.047, 0.956], [0.996, 0.090, 0.498], [0.353, 0.236, 0.791], [0.923, 0.181, 0.783], [0.457, 0.303, 0.276], [0.647, 0.764, 0.209], [0.004, 0.287, 0.270], [0.876, 0.953, 0.044], [0.624, 0.953, 0.544], [0.112, 0.548, 0.404], [0.423, 0.819, 0.717], [0.288, 0.079, 0.534], [0.247, 0.579, 0.359], [0.853, 0.764, 0.709], [0.504, 0.713, 0.230], [0.636, 0.530, 0.400], [0.758, 0.459, 0.359], [0.136, 0.470, 0.100], [0.504, 0.090, 0.998], [0.376, 0.047, 0.456], [0.077, 0.819, 0.217], [0.082, 0.867, 0.957]]}

The computed energies, referenced to the most stable structure and given in meV/atom, are version a 0; version b 195.